The following is a r²SCAN calculation of crystalline Th6CoBr15 at its relaxed geometry, from Materials Project.

Output
Total magnetic moment: 0.000 Bohr magnetons per cell
E_form: -1.79 eV/atom
E: -692.40 eV per formula unit
SG: Im-3m, No. 229

Lattice parameters (Å, degrees): 10.0563 10.0562 10.0562 109.47 109.47 109.47
Element x y z (fractional)
Th  0.7612  0.7612  0.0000
Th  0.2388  0.0000  0.2388
Th  0.7612  0.0000  0.7612
Th  0.0000  0.7612  0.7612
Th  0.0000  0.2388  0.2388
Th  0.2388  0.2388  0.0000
Co  0.0000  0.0000  0.0000
Br  0.5000  0.0000  0.5000
Br  0.0000  0.5000  0.5000
Br  0.5000  0.5000  0.0000
Br  0.4949  0.7474  0.7474
Br  0.7475  0.0000  0.2525
Br  0.5051  0.2525  0.2525
Br  0.2525  0.2525  0.5051
Br  0.2525  0.7474  0.0000
Br  0.0000  0.2526  0.7475
Br  0.0000  0.7474  0.2525
Br  0.2526  0.0000  0.7475
Br  0.2525  0.5051  0.2525
Br  0.7475  0.2525  0.0000
Br  0.7475  0.4949  0.7475
Br  0.7475  0.7475  0.4949